# 1
VASP calculation (GGA-PBE) on crystalline La3Ni2B2N3 at its relaxed geometry.

Geometry as extended XYZ:
```
10
Lattice="-1.884 1.884 9.966 1.884 -1.884 9.966 1.884 1.884 -9.966" Properties=species:S:1:pos:R:3 pbc="T T T"
La 0.000 0.000 12.564
La 0.000 0.000 7.367
La 0.000 0.000 0.000
Ni 0.000 1.884 4.983
Ni 1.884 0.000 4.983
B 0.000 0.000 15.948
B 0.000 0.000 3.984
N 0.000 0.000 17.395
N 0.000 0.000 9.966
N 0.000 0.000 2.537
```

Values from the calculation:
SG: No. 139
VASP energy (eV/atom): -7.51

***

# 2
VASP calculation (GGA-PBE) on crystalline La6BN3O6 at its relaxed geometry.

Geometry as extended XYZ:
```
32
Lattice="6.235 4.355 -10.113 -9.072 -4.172 7.773 -1.992 10.335 3.223" Properties=species:S:1:pos:R:3 pbc="T T T"
La -2.184 8.248 0.396
La 0.313 7.571 -2.684
La -0.407 11.307 -1.519
La 3.333 13.435 -5.886
La 1.134 4.374 -3.928
La -5.142 2.947 3.566
La -8.162 -2.917 6.768
La -5.962 6.144 4.811
La -2.644 2.270 0.486
La 4.069 9.620 -7.075
La -8.897 0.899 7.958
La -4.421 -0.789 2.401
B 3.589 5.742 -6.797
B -8.417 4.776 7.679
N 2.685 5.239 -5.741
N 3.811 7.195 -6.953
N -8.640 3.324 7.835
N -7.514 5.280 6.624
N -9.102 5.723 8.584
N 4.274 4.795 -7.701
O -5.089 8.274 3.919
O 1.098 11.887 -3.297
O 4.543 11.996 -7.465
O 1.728 8.618 -4.317
O -5.926 -1.369 4.180
O -6.556 1.900 5.199
O -4.517 5.306 2.993
O -0.312 5.213 -2.111
O -9.372 -1.478 8.347
O 0.260 2.244 -3.036
O -1.418 0.091 -1.170
O -2.414 5.259 0.441
```

Values from the calculation:
SG: No. 63
VASP energy (eV/atom): -8.37

***

# 3
VASP calculation (GGA-PBE) on crystalline Na3La2B3O9 at its relaxed geometry.

Geometry as extended XYZ:
```
17
Lattice="3.677 -5.693 0.000 3.677 5.693 0.000 0.000 0.000 5.183" Properties=species:S:1:pos:R:3 pbc="T T T"
Na 3.365 0.000 0.000
Na 0.949 0.000 2.592
Na 5.233 0.000 2.592
La 2.428 -3.266 0.000
La 2.428 3.266 0.000
B 3.727 -2.446 2.592
B 0.427 0.000 0.000
B 3.727 2.446 2.592
O 6.382 0.000 0.000
O 1.105 1.197 0.000
O 3.124 3.701 2.592
O 3.985 -1.809 3.802
O 1.105 -1.197 0.000
O 3.124 -3.701 2.592
O 3.985 1.809 3.802
O 3.985 -1.809 1.381
O 3.985 1.809 1.381
```

Values from the calculation:
SG: No. 38
VASP energy (eV/atom): -7.27

***

# 4
VASP calculation (GGA-PBE) on crystalline Na3La9B8O27 at its relaxed geometry.

Geometry as extended XYZ:
```
47
Lattice="-0.982 7.712 -4.435 -7.213 -4.615 2.603 -0.049 4.354 7.583" Properties=species:S:1:pos:R:3 pbc="T T T"
Na -0.656 5.151 -2.962
Na -4.818 -3.083 1.739
Na -2.721 1.028 -0.608
La -0.380 6.025 4.261
La -5.348 3.036 0.582
La -2.528 -0.591 2.683
La -2.554 1.725 6.716
La -5.374 5.352 4.616
La -0.354 3.709 0.228
La -0.729 7.710 0.610
La -5.200 -1.134 5.659
La -2.340 3.052 3.274
B -3.092 6.547 3.039
B -5.152 0.904 2.713
B -5.169 2.438 5.385
B -3.075 5.013 0.367
B -5.136 -0.506 0.257
B -3.059 3.603 -2.089
B -0.039 3.440 5.992
B -0.010 0.914 1.592
O -6.434 2.933 5.149
O -5.010 1.277 6.110
O -4.333 5.471 0.038
O -1.960 5.693 -0.073
O -4.064 3.179 5.024
O -2.950 5.384 3.765
O -4.046 1.595 2.266
O -4.992 -0.307 3.352
O -6.416 1.349 2.392
O -1.879 0.991 4.461
O -0.277 4.160 2.652
O -6.113 4.478 2.431
O -1.284 1.405 1.324
O -6.131 -0.467 8.173
O -0.868 9.944 2.229
O -0.840 7.437 -2.136
O -6.103 -2.974 3.807
O -1.312 3.912 5.690
O -1.814 3.049 -1.762
O -4.238 2.943 -1.718
O -3.125 4.817 -2.786
O -6.211 -1.289 0.700
O -5.377 0.691 -0.431
O -3.820 -0.920 0.503
O -2.932 3.801 1.007
O -4.350 7.055 2.796
O -1.978 7.276 2.685
```

Values from the calculation:
SG: No. 189
VASP energy (eV/atom): -8.00

***

# 5
VASP calculation (GGA-PBE) on crystalline LaNi3B at its relaxed geometry.

Geometry as extended XYZ:
```
40
Lattice="4.945 -8.233 0.000 4.945 8.233 0.000 0.000 0.000 7.161" Properties=species:S:1:pos:R:3 pbc="T T T"
La 2.373 -3.538 5.370
La 2.373 3.538 1.790
La 7.518 3.538 1.790
La 7.518 -3.538 5.370
La 4.945 -0.604 5.370
La 4.945 0.604 1.790
La 4.945 7.643 5.370
La 4.945 -7.643 1.790
Ni 3.724 -6.114 6.632
Ni 3.724 6.114 0.529
Ni 3.724 -6.114 4.109
Ni 3.724 6.114 3.051
Ni 6.166 6.114 0.529
Ni 6.166 -6.114 6.632
Ni 6.166 6.114 3.051
Ni 6.166 -6.114 4.109
Ni 6.197 1.997 6.631
Ni 6.197 -1.997 0.530
Ni 6.197 1.997 4.110
Ni 6.197 -1.997 3.050
Ni 3.694 -1.997 0.530
Ni 3.694 1.997 6.631
Ni 3.694 -1.997 3.050
Ni 3.694 1.997 4.110
Ni 4.945 -3.968 7.068
Ni 4.945 3.968 0.093
Ni 4.945 -3.968 3.673
Ni 4.945 3.968 3.488
Ni 7.501 0.000 0.000
Ni 7.501 0.000 3.580
Ni 2.389 0.000 0.000
Ni 2.389 0.000 3.580
B 7.484 1.087 5.370
B 7.484 -1.087 1.790
B 2.406 -1.087 1.790
B 2.406 1.087 5.370
B 4.945 -5.100 5.370
B 4.945 5.100 1.790
B 4.945 2.928 5.370
B 4.945 -2.928 1.790
```

Values from the calculation:
SG: No. 63
VASP energy (eV/atom): -6.23

***

# 6
VASP calculation (GGA-PBE) on crystalline LaNi3B at its relaxed geometry.

Geometry as extended XYZ:
```
40
Lattice="4.924 -8.288 0.000 4.924 8.288 0.000 0.000 0.000 7.130" Properties=species:S:1:pos:R:3 pbc="T T T"
La 2.410 -3.551 5.348
La 2.410 3.551 1.783
La 7.439 3.551 1.783
La 7.439 -3.551 5.348
La 4.924 -0.606 5.348
La 4.924 0.606 1.783
La 4.924 7.703 5.348
La 4.924 -7.703 1.783
Ni 3.700 -6.195 6.607
Ni 3.700 6.195 0.524
Ni 3.700 -6.195 4.089
Ni 3.700 6.195 3.041
Ni 6.149 6.195 0.524
Ni 6.149 -6.195 6.607
Ni 6.149 6.195 3.041
Ni 6.149 -6.195 4.089
Ni 6.163 2.050 6.606
Ni 6.163 -2.050 0.524
Ni 6.163 2.050 4.089
Ni 6.163 -2.050 3.041
Ni 3.686 -2.050 0.524
Ni 3.686 2.050 6.606
Ni 3.686 -2.050 3.041
Ni 3.686 2.050 4.089
Ni 4.924 -4.064 7.057
Ni 4.924 4.064 0.073
Ni 4.924 -4.064 3.638
Ni 4.924 4.064 3.492
Ni 7.409 0.000 0.000
Ni 7.409 0.000 3.565
Ni 2.440 0.000 0.000
Ni 2.440 0.000 3.565
B 7.410 1.098 5.348
B 7.410 -1.098 1.783
B 2.439 -1.098 1.783
B 2.439 1.098 5.348
B 4.924 -5.200 5.348
B 4.924 5.200 1.783
B 4.924 2.999 5.348
B 4.924 -2.999 1.783
```

Values from the calculation:
SG: No. 63
VASP energy (eV/atom): -6.23

***

Table of ΔE_f (meV per atom), in record order: -1144 -2939 -3025 -3389 -439 -441